VW2C3: optimized geometry, GGA-PBE.

Geometry as CIF:
```
data_VW2C3
_chemical_formula_sum 'V2 W4 C6'
_cell_length_a 3.0490
_cell_length_b 4.3239
_cell_length_c 9.1701
_cell_angle_alpha 90.00
_cell_angle_beta 90.00
_cell_angle_gamma 90.00
_symmetry_space_group_name_H-M 'I m m m'
_symmetry_Int_Tables_number 71
_symmetry_space_group_name_Hall '-I 2 2'
loop_
_atom_site_label
_atom_site_type_symbol
_atom_site_fract_x
_atom_site_fract_y
_atom_site_fract_z
V1 V 0.0000 0.0000 0.0000
W1 W 0.0000 0.0000 0.3340
C1 C 0.0000 0.5000 0.0000
C2 C 0.0000 0.5000 0.3390
```

Computed properties:
As for the total moment: 0.006 μB per atom. For the electronic total energy, the calculation gives -10.412 eV/atom. The calculation puts the formation energy at 0.036 eV/atom.